No. 1
A plane-wave DFT calculation with PBE-GGA was carried out for crystalline CaIn2 at its relaxed geometry.

```
CaIn2
1.0
4.963 0.000 0.000
-2.482 4.298 0.000
0.000 0.000 7.784
Ca In
2 4
Cartesian
0.000 0.000 1.946
0.000 0.000 5.838
0.000 2.865 0.372
0.000 2.865 3.520
2.482 1.433 4.264
2.482 1.433 7.412
```

Calculated values
Uncorrected energy in eV/cell: -17.566
Formation enthalpy at 0 K in eV per atom: -0.42
Volume in Å³ per cell: 166.1

---

No. 2
A plane-wave DFT calculation with PBE-GGA was carried out for crystalline Ba3TbIrRuO9 at its relaxed geometry.

```
Ba3TbIrRuO9
1.0
5.961 0.000 0.000
-2.981 5.162 0.000
0.000 0.000 14.776
Ba Tb Ir Ru O
6 2 2 2 18
Cartesian
0.000 0.000 0.000
0.000 0.000 7.388
0.000 3.442 2.279
0.000 3.442 12.477
2.981 1.721 5.089
2.981 1.721 9.667
0.000 0.000 3.672
0.000 0.000 11.060
0.000 3.442 8.645
2.981 1.721 1.257
0.000 3.442 6.111
2.981 1.721 13.498
-1.401 2.633 7.375
0.000 1.813 9.788
0.000 1.820 5.011
-1.404 4.252 5.011
-1.411 4.256 9.788
1.570 0.906 2.400
1.576 0.910 12.399
1.401 2.633 7.375
0.000 5.060 7.375
2.981 0.103 14.763
1.579 2.530 14.763
1.404 4.252 5.011
1.411 4.256 9.788
4.391 0.906 2.400
4.385 0.910 12.399
2.981 3.342 12.399
2.981 3.350 2.400
4.382 2.530 14.763
```

Calculated values
Uncorrected energy in eV/cell: -211.182
MP2020-corrected energy in eV/atom: -7.452
Formation enthalpy at 0 K in eV per atom: -2.58
Volume in Å³ per cell: 454.7

---

No. 3
A plane-wave DFT calculation with PBE-GGA was carried out for crystalline Y3Si3O10F at its relaxed geometry.

```
Y3Si3O10F
1.0
7.404 0.000 0.000
0.000 11.296 0.000
-6.079 0.000 10.416
Y Si O F
12 12 40 4
Cartesian
-0.446 2.598 1.968
-3.485 3.050 7.176
-4.160 0.347 10.225
-1.121 5.301 5.017
-0.799 1.110 5.239
2.241 4.539 0.031
-0.915 6.758 10.384
2.124 10.187 5.176
2.446 5.995 5.399
5.486 10.949 0.191
4.810 8.246 3.240
1.771 8.698 8.448
0.317 6.073 2.172
-2.722 10.871 7.380
-2.904 6.617 7.711
0.135 10.327 2.504
2.111 8.415 1.155
-0.928 8.530 6.363
2.254 2.766 4.053
-0.786 2.882 9.261
1.190 0.969 7.912
4.230 4.679 2.704
4.047 0.425 3.035
1.008 5.223 8.243
-1.127 6.824 1.999
-4.167 10.121 7.207
-4.789 1.615 8.359
-1.750 4.033 3.152
0.276 0.277 1.428
-2.764 5.372 6.636
-2.661 1.002 6.566
0.378 4.646 1.358
-1.357 7.698 5.028
-4.396 9.246 10.235
1.482 6.886 1.279
-1.557 10.059 6.487
-2.816 6.207 9.283
0.223 10.737 4.075
-1.594 7.651 7.609
1.445 9.293 2.401
0.727 5.902 3.764
-2.312 11.043 8.972
0.641 2.558 3.945
-2.399 3.090 9.153
3.724 8.206 1.263
0.685 8.738 6.471
3.638 0.253 1.444
0.598 5.395 6.652
-0.120 2.003 8.014
2.920 3.645 2.806
1.102 0.559 6.341
4.142 5.089 1.133
2.882 1.238 3.928
-0.157 4.411 9.136
5.721 2.050 0.180
2.682 3.598 5.388
0.947 6.651 9.058
3.987 10.294 3.850
4.089 5.925 3.780
1.050 11.020 8.987
3.075 7.263 7.264
6.115 9.681 2.056
5.492 1.175 3.209
2.453 4.473 8.416
1.532 2.429 0.618
-1.508 3.220 5.826
2.833 8.077 4.590
-0.206 8.868 9.798
```

Calculated values
Uncorrected energy in eV/cell: -570.648
MP2020-corrected energy in eV/atom: -8.823
Formation enthalpy at 0 K in eV per atom: -3.70
Volume in Å³ per cell: 871.2

---

No. 4
A plane-wave DFT calculation with PBE-GGA was carried out for crystalline MgSb4O10 at its relaxed geometry.

```
MgSb4O10
1.0
5.203 0.000 0.000
-0.016 5.719 0.000
-2.331 -1.363 6.512
Mg Sb O
1 4 10
Cartesian
0.000 0.000 0.000
0.257 2.015 2.290
0.232 3.887 4.930
2.599 4.757 2.142
2.953 1.115 4.996
-1.403 2.810 5.586
-0.457 3.738 3.071
-0.844 -0.280 5.524
0.895 0.198 1.795
1.808 2.992 1.639
1.233 2.102 4.282
3.360 4.978 0.194
1.912 -0.694 4.505
4.629 2.028 0.394
3.800 1.126 3.149
```

Calculated values
Relative energy among the computed polymorphs in meV per atom: 0
Uncorrected energy in eV/cell: -89.432
MP2020-corrected energy in eV/atom: -6.420
Formation enthalpy at 0 K in eV per atom: -1.91
Volume in Å³ per cell: 193.8

---

No. 5
A plane-wave DFT calculation with PBE-GGA was carried out for crystalline Na2Al2Ga2SiS5O24 at its relaxed geometry.

```
Na2Al2Ga2SiS5O24
1.0
8.441 0.000 0.000
4.181 7.340 0.000
0.234 -0.016 21.999
Na Al Ga Si S O
6 6 6 3 15 72
Cartesian
0.000 0.000 0.000
0.268 0.243 11.152
4.358 2.746 18.483
4.320 2.667 7.322
8.356 5.092 3.516
8.575 5.212 14.737
4.438 2.852 21.569
4.389 2.573 15.148
8.453 5.149 0.401
8.701 5.089 18.063
8.640 0.149 18.898
8.524 0.168 3.140
0.286 0.217 14.337
4.288 2.613 10.744
4.376 2.759 3.877
8.547 5.192 11.567
8.505 5.113 6.911
8.584 0.226 7.740
3.160 0.542 12.906
5.551 4.836 1.835
11.084 5.098 20.201
1.813 2.662 1.871
3.165 4.766 12.911
2.555 0.251 5.512
5.659 5.380 16.570
6.068 5.094 9.200
7.449 7.234 20.182
6.801 2.650 12.900
5.499 0.555 1.859
7.470 2.976 20.178
9.791 7.257 9.172
6.224 0.231 16.551
7.310 2.319 5.526
9.778 3.008 9.197
9.848 2.367 16.585
11.501 5.443 5.531
12.085 6.151 13.051
0.918 1.494 2.083
1.177 1.483 17.736
3.640 6.002 6.798
2.599 2.885 3.141
2.817 2.909 9.263
3.492 3.954 14.091
1.547 0.372 13.034
3.563 3.753 20.340
4.824 6.284 2.045
3.619 4.082 5.420
3.807 4.275 11.645
2.887 2.540 16.434
2.668 2.361 0.721
5.031 6.035 17.730
1.815 0.457 6.811
1.807 0.124 19.978
5.213 6.312 9.067
1.656 0.066 4.383
5.493 6.179 15.322
3.281 1.355 11.492
4.809 4.079 0.642
5.024 4.036 16.397
3.425 1.434 5.384
5.211 3.888 9.336
3.826 1.252 14.178
3.953 1.182 20.375
5.491 4.003 3.270
7.580 6.367 21.365
6.912 5.310 10.379
7.569 6.343 5.632
7.126 5.220 16.751
6.855 4.878 7.948
8.010 6.611 18.946
5.958 2.919 14.080
5.030 1.276 9.280
4.848 1.061 3.133
6.022 2.717 20.342
8.059 6.412 12.801
7.144 5.004 1.596
5.406 1.480 16.418
5.840 2.437 5.466
5.216 1.385 0.701
6.031 2.490 11.629
7.597 3.850 18.970
9.183 6.656 7.951
7.713 3.815 12.772
9.162 6.524 1.734
9.494 6.408 16.688
8.055 3.584 21.374
7.947 3.681 5.623
9.582 6.432 10.369
7.567 1.571 6.805
7.577 1.411 13.049
6.978 0.515 2.071
7.105 0.419 17.710
11.194 7.322 15.305
10.160 5.341 21.499
7.890 1.656 4.363
10.006 5.355 5.650
9.206 3.699 16.721
7.093 0.035 9.041
8.169 1.685 19.951
9.194 3.621 10.401
9.433 3.865 1.702
10.203 4.877 18.857
9.510 3.793 7.956
10.128 4.751 12.767
9.253 1.809 15.338
11.769 6.297 4.380
9.179 1.642 9.088
12.031 6.430 20.035
```

Calculated values
Uncorrected energy in eV/cell: -678.208
MP2020-corrected energy in eV/atom: -6.738
Formation enthalpy at 0 K in eV per atom: -2.26
Volume in Å³ per cell: 1363.0

---

No. 6
A plane-wave DFT calculation with PBE-GGA was carried out for crystalline Dy2CuGe2O8 at its relaxed geometry.

```
Dy2CuGe2O8
1.0
4.813 -7.538 0.000
4.813 7.538 0.000
-2.694 0.000 4.386
Dy Cu Ge O
4 2 4 16
Cartesian
4.813 5.727 0.000
3.514 1.822 2.166
3.514 -1.822 2.166
4.813 -5.727 0.000
6.342 3.124 0.849
6.342 -3.124 0.849
0.507 3.173 3.219
0.235 0.000 3.483
0.507 -3.173 3.219
6.640 0.000 0.835
-1.533 0.000 3.629
2.237 2.563 0.258
0.827 1.388 2.501
2.252 3.530 3.249
4.649 3.900 1.603
0.827 -1.388 2.501
3.545 0.000 0.755
2.237 -2.563 0.258
3.386 0.000 3.522
4.878 2.577 3.887
6.028 1.412 1.752
2.252 -3.530 3.249
6.028 -1.412 1.752
4.649 -3.900 1.603
8.419 0.000 0.663
4.878 -2.577 3.887
```

Calculated values
Uncorrected energy in eV/cell: -183.864
MP2020-corrected energy in eV/atom: -7.494
Formation enthalpy at 0 K in eV per atom: -2.71
Volume in Å³ per cell: 318.2

---

No. 7
A plane-wave DFT calculation with PBE-GGA was carried out for crystalline Y10H21 at its relaxed geometry.

```
Y10H21
1.0
6.379 0.000 0.000
-2.111 7.055 0.000
-1.074 -2.232 7.850
Y H
10 21
Cartesian
4.774 -0.468 7.849
-1.580 5.291 0.001
0.531 0.187 3.141
-0.506 3.680 3.145
1.582 -1.428 6.282
0.535 2.098 6.259
2.659 2.725 1.591
1.612 6.251 1.568
3.700 1.143 4.705
2.663 4.636 4.708
-2.656 4.985 6.662
-1.591 1.455 6.669
-0.588 1.753 4.328
-1.590 5.298 4.311
0.511 2.082 1.916
-0.523 5.618 1.970
-0.523 3.689 7.456
0.529 0.179 7.462
1.597 0.443 5.127
0.511 4.060 5.126
1.597 2.411 3.925
2.683 0.763 2.724
1.597 4.380 2.723
2.665 4.644 0.388
3.718 1.134 0.393
3.717 -0.795 5.880
2.684 2.740 5.934
4.784 -0.475 3.539
3.782 3.070 3.522
4.786 3.368 1.181
5.850 -0.162 1.188
```

Calculated values
Uncorrected energy in eV/cell: -157.009
MP2020-corrected energy in eV/atom: -5.186
Formation enthalpy at 0 K in eV per atom: -0.80
Volume in Å³ per cell: 353.3

---

No. 8
A plane-wave DFT calculation with PBE-GGA was carried out for crystalline SiO2 at its relaxed geometry.

```
SiO2
1.0
0.000 5.135 11.560
2.802 0.000 11.560
2.802 5.135 0.000
Si O
8 16
Cartesian
3.304 4.875 4.415
4.705 5.395 10.195
3.304 2.827 12.926
0.899 2.827 4.415
4.705 7.442 18.706
2.299 7.442 10.195
0.899 4.875 12.926
2.299 5.395 18.706
0.000 0.000 0.000
1.401 2.567 0.000
1.401 0.000 5.780
0.700 1.284 1.789
2.101 0.956 8.670
0.700 1.284 3.992
2.101 3.851 4.980
3.502 3.523 14.450
3.502 6.419 10.760
0.000 2.567 5.780
2.101 3.851 12.361
2.101 6.747 8.670
3.502 6.419 18.141
4.903 8.986 19.129
3.502 9.314 14.450
4.903 8.986 21.332
```

Calculated values
Uncorrected energy in eV/cell: -176.754
MP2020-corrected energy in eV/atom: -7.823
Formation enthalpy at 0 K in eV per atom: -2.72
Volume in Å³ per cell: 332.6

---

No. 9
A plane-wave DFT calculation with PBE-GGA was carried out for crystalline GaPd at its relaxed geometry.

```
GaPd
1.0
3.121 0.000 0.000
0.000 3.121 0.000
0.000 0.000 3.121
Ga Pd
1 1
Cartesian
0.000 0.000 0.000
1.560 1.560 1.560
```

Calculated values
Uncorrected energy in eV/cell: -9.361
Formation enthalpy at 0 K in eV per atom: -0.58
Volume in Å³ per cell: 30.4

---

What did the fourth record say?
A plane-wave DFT calculation with PBE-GGA was carried out for crystalline MgSb4O10 at its relaxed geometry.

```
MgSb4O10
1.0
5.203 0.000 0.000
-0.016 5.719 0.000
-2.331 -1.363 6.512
Mg Sb O
1 4 10
Cartesian
0.000 0.000 0.000
0.257 2.015 2.290
0.232 3.887 4.930
2.599 4.757 2.142
2.953 1.115 4.996
-1.403 2.810 5.586
-0.457 3.738 3.071
-0.844 -0.280 5.524
0.895 0.198 1.795
1.808 2.992 1.639
1.233 2.102 4.282
3.360 4.978 0.194
1.912 -0.694 4.505
4.629 2.028 0.394
3.800 1.126 3.149
```

Calculated values
Relative energy among the computed polymorphs in meV per atom: 0
Uncorrected energy in eV/cell: -89.432
MP2020-corrected energy in eV/atom: -6.420
Formation enthalpy at 0 K in eV per atom: -1.91
Volume in Å³ per cell: 193.8

---

Question: What is the formula in the fifth record?
Answer: Na2Al2Ga2SiS5O24